(1)
DFT (PBE-GGA) results for an optimized crystal structure of CaMg6SnO8.

```
16
Lattice="4.524 0.000 0.000 0.000 4.524 0.000 0.000 0.000 9.038" Properties=species:S:1:pos:R:3 pbc="T T T"
Ca 0.000 0.000 0.000
Mg 0.000 2.262 2.226
Mg 0.000 2.262 6.812
Mg 2.262 0.000 2.226
Mg 2.262 0.000 6.812
Mg 2.262 2.262 0.000
Mg 2.262 2.262 4.519
Sn 0.000 0.000 4.519
O 0.000 0.000 2.208
O 0.000 0.000 6.830
O 0.000 2.262 0.000
O 0.000 2.262 4.519
O 2.262 0.000 0.000
O 2.262 0.000 4.519
O 2.262 2.262 2.270
O 2.262 2.262 6.768
```

Values from the calculation:
E (MP2020) ... -6.0826 eV/atom
E above lowest polymorph ... 0.052 eV/atom
Formation energy ... -2.6326 eV/atom
M_tot ... 0.0 μB per formula unit
Space-group type ... P4/mmm (123)

---

(2)
DFT (PBE-GGA) results for an optimized crystal structure of SrCaMg6O8.

```
16
Lattice="4.539 0.000 0.000 0.000 4.539 0.000 0.000 0.000 9.038" Properties=species:S:1:pos:R:3 pbc="T T T"
Sr 0.000 0.000 0.000
Ca 0.000 0.000 4.519
Mg 0.000 2.270 2.299
Mg 0.000 2.270 6.740
Mg 2.270 0.000 2.299
Mg 2.270 0.000 6.740
Mg 2.270 2.270 0.000
Mg 2.270 2.270 4.519
O 0.000 0.000 2.334
O 0.000 0.000 6.704
O 0.000 2.270 0.000
O 0.000 2.270 4.519
O 2.270 0.000 0.000
O 2.270 0.000 4.519
O 2.270 2.270 2.265
O 2.270 2.270 6.773
```

Values from the calculation:
E (MP2020) ... -6.1483 eV/atom
E above lowest polymorph ... 0.057 eV/atom
Formation energy ... -2.8433 eV/atom
M_tot ... 0.0 μB per formula unit
Space-group type ... P4/mmm (123)

---

(3)
DFT (PBE-GGA) results for an optimized crystal structure of SrCaMg6O8.

```
16
Lattice="4.572 0.000 0.000 0.000 4.572 0.000 0.000 0.000 8.874" Properties=species:S:1:pos:R:3 pbc="T T T"
Sr 0.000 0.000 0.000
Ca 2.286 2.286 0.000
Mg 0.000 0.000 4.437
Mg 0.000 2.286 2.378
Mg 0.000 2.286 6.496
Mg 2.286 0.000 2.378
Mg 2.286 0.000 6.496
Mg 2.286 2.286 4.437
O 0.000 0.000 2.432
O 0.000 0.000 6.443
O 0.000 2.286 0.000
O 0.000 2.286 4.437
O 2.286 0.000 0.000
O 2.286 0.000 4.437
O 2.286 2.286 2.366
O 2.286 2.286 6.508
```

Values from the calculation:
E (MP2020) ... -6.2053 eV/atom
E above lowest polymorph ... 0.000 eV/atom
Formation energy ... -2.9002 eV/atom
M_tot ... 0.0 μB per formula unit
Space-group type ... P4/mmm (123)

---

(4)
DFT (PBE-GGA) results for an optimized crystal structure of CaMg6TiO8.

```
16
Lattice="4.380 0.000 0.000 0.000 4.380 0.000 0.000 0.000 8.781" Properties=species:S:1:pos:R:3 pbc="T T T"
Ca 0.000 0.000 0.000
Mg 0.000 2.190 2.224
Mg 0.000 2.190 6.557
Mg 2.190 0.000 2.224
Mg 2.190 0.000 6.557
Mg 2.190 2.190 0.000
Mg 2.190 2.190 4.391
Ti 0.000 0.000 4.391
O 0.000 0.000 2.271
O 0.000 0.000 6.510
O 0.000 2.190 0.000
O 0.000 2.190 4.391
O 2.190 0.000 0.000
O 2.190 0.000 4.391
O 2.190 2.190 2.207
O 2.190 2.190 6.575
```

Values from the calculation:
E (MP2020) ... -6.5902 eV/atom
E above lowest polymorph ... 0.024 eV/atom
Formation energy ... -2.8973 eV/atom
M_tot ... 1.9 μB per formula unit
Space-group type ... P4/mmm (123)